1.
Computed, not measured: Na3Al3Si3O16 after structural relaxation at the PBE level of DFT.

Output
As for the energy relative to the elements: -2.434 eV/atom. As for the mass density: 2.2 g/cm³. Its final energy is -0.236 Ha/atom.

extended XYZ file:
```
50
Lattice="-0.5980 2.9726 8.4696 -8.5039 2.4894 -1.5536 -2.7806 -8.1552 2.5864" Properties=species:S:1:pos:R:3 pbc="T T T"
Na -6.8613 0.0251 2.4560
Na -4.0093 0.2327 6.0812
Na -4.7775 -3.8044 3.9764
Na -9.3352 -4.1187 2.3754
Na -4.2920 -3.7772 8.7787
Na -7.9621 3.0027 6.1108
Al -8.3862 0.7279 8.5605
Al -10.8529 -2.1585 4.6578
Al -7.4932 -4.6283 8.1592
Al -1.0208 -0.5741 4.8395
Al -4.3686 1.9569 1.3705
Al -3.5190 -3.4019 0.9140
Si -6.6806 3.3440 3.0743
Si -6.3398 -4.8678 1.1730
Si -1.8497 -1.8466 7.6442
Si -4.9576 -0.7907 -0.1304
Si -1.5448 -3.3438 3.4136
Si -2.4264 2.1107 3.8571
O -7.8352 -0.9148 8.7195
O -10.2318 -0.9274 5.7190
O -8.5738 -4.1959 6.8659
O -6.4656 -1.1290 0.4184
O -9.1816 0.4042 2.4546
O -5.8912 2.1818 2.2391
O -4.6286 0.8309 8.2690
O -1.9303 -0.8896 6.3216
O -3.5649 2.3107 5.0206
O -4.9303 -4.1824 1.6369
O -2.4886 -4.0192 4.5725
O -5.8002 -5.6798 4.9587
O -9.8947 -3.6320 4.6065
O -8.9985 -2.0007 1.3555
O -7.2098 -5.1671 2.5307
O -3.9863 -5.0079 6.7708
O -3.2553 -1.6630 8.4689
O -6.5895 -3.2816 8.8389
O -1.9636 0.5614 3.9179
O -2.5363 -2.8434 2.2368
O -4.3171 0.2837 0.8962
O -7.9952 2.6460 3.7630
O -9.0676 1.1223 6.9882
O -5.7083 2.7718 6.8225
O -11.1145 -2.5191 8.8882
O -7.9972 1.8897 -0.6151
O -1.3659 2.3011 7.7938
O -3.1931 -7.0367 2.8624
O -6.7060 -2.0240 4.0777
O -5.4333 -1.9401 5.6930
O -5.1733 -1.1725 4.1370
O -6.3582 -0.2284 5.0216
```

***

2.
Computed, not measured: NaAl3Si3O12 after structural relaxation at the PBE level of DFT.

Output
As for the energy relative to the elements: -2.933 eV/atom. As for the mass density: 2.7 g/cm³. Its final energy is -0.268 Ha/atom.

extended XYZ file:
```
38
Lattice="5.2595 0.0000 -0.3009 -2.6297 -4.5628 0.1504 0.1179 0.0000 -19.7704" Properties=species:S:1:pos:R:3 pbc="T T T"
Na -0.2189 -0.8399 -5.3748
Na 2.4698 -3.7229 -15.4104
Al 1.5590 -0.8291 -9.9131
Al 3.9350 -0.8426 -19.9229
Al 1.2463 -3.7202 -9.8872
Al -1.0118 -3.7337 -19.6479
Al -0.2773 -3.8688 -7.0753
Al 2.4113 -0.6940 -17.1109
Si 0.3507 -3.8980 -2.7432
Si 3.0394 -0.6648 -12.7788
Si 2.2822 -2.3117 -7.1833
Si 3.0709 -2.3324 -2.8906
Si 0.5001 -2.2304 -12.6253
Si -0.2886 -2.2511 -16.9181
O 1.3520 -3.4717 -6.4933
O -1.0679 -3.2883 -3.3390
O 1.6208 -1.2745 -13.3747
O 4.0407 -1.0911 -16.5289
O 1.9484 -2.2937 -8.8244
O 3.4093 -2.2608 -1.3026
O 0.8385 -2.3020 -11.0374
O -0.6224 -2.2691 -18.5591
O -0.1282 -0.4310 -9.2485
O 0.1616 -0.3311 -0.7058
O 2.8502 -4.2317 -10.7414
O 2.5604 -4.1318 -19.2841
O 1.8624 -0.8612 -6.5447
O 3.2331 -0.8262 -3.5654
O 0.6623 -3.7366 -13.3002
O -0.7084 -3.7017 -16.2795
O -0.1364 -4.1255 -8.8054
O 0.2089 -4.0808 -1.1415
O 2.8976 -0.4820 -11.1771
O 2.5522 -0.4373 -18.8410
O -1.3944 -2.5978 -6.5885
O 1.5653 -2.9006 -3.2210
O 4.2540 -1.6622 -13.2566
O 1.2943 -1.9650 -16.6242
```

***

3.
Computed, not measured: NaAlSiO4 after structural relaxation at the PBE level of DFT.

Output
The calculation puts the offset from the most stable computed form at 0.825 eV per atom. As for the energy relative to the elements: -2.325 eV/atom. As for the mass density: 2.4 g/cm³. Its final energy is -0.235 Ha/atom.

extended XYZ file:
```
56
Lattice="-1.7116 9.5859 -0.1207 -1.5621 -5.3262 -8.0015 -9.1658 -1.6007 2.8549" Properties=species:S:1:pos:R:3 pbc="T T T"
Na -0.1266 -0.0221 0.0394
Na -4.7095 -0.8224 1.4669
Na -9.7766 -3.7095 -0.6773
Na -5.5074 4.7045 1.1568
Na -5.8734 1.1907 -1.9883
Na -10.9342 0.7055 -1.9185
Na -11.3002 -2.8083 -5.0635
Na -7.0310 5.6056 -3.2294
Al -3.1754 -0.6286 -4.8876
Al -7.8081 3.5418 -0.8332
Al -6.9140 -2.0137 -0.6651
Al -3.1096 6.5339 -0.2482
Al -2.6105 1.5457 -1.4426
Al -8.6008 1.3277 -4.2072
Al -8.1017 -3.6604 -5.4016
Al -4.2973 4.8871 -4.9848
Si -9.1614 -1.6739 -3.0231
Si -4.6284 4.0971 -1.8236
Si -3.0211 -0.9163 -1.7766
Si -8.4845 5.9074 1.0984
Si -7.7445 0.7545 0.5851
Si -4.7732 1.8908 -5.8280
Si -4.0332 -3.2621 -6.3413
Si -9.4967 3.5616 -3.4663
O -10.6940 -1.9416 -2.5457
O -6.1610 3.8295 -1.3462
O -5.4304 -2.1181 -1.7121
O -1.3977 6.1434 -0.7227
O -1.2499 2.1093 -2.5100
O -6.7837 1.3192 -4.1296
O -6.6359 -2.7150 -5.9170
O -2.6032 5.5465 -4.9276
O -8.1901 -2.2404 -1.8349
O -3.9453 5.0686 -0.6986
O -3.8947 2.6370 -1.8993
O -9.0042 -0.0582 -3.2250
O -8.9535 -2.4898 -4.4256
O -4.7087 4.8192 -3.2893
O -3.0762 -1.4260 -3.3295
O -8.0108 4.3984 0.6829
O -7.9721 1.8064 -0.6461
O -3.9433 0.9441 -4.7845
O -3.9046 -1.6479 -6.1135
O -8.8392 4.1765 -2.1011
O -4.2274 -1.7967 -0.8784
O -9.7192 5.7663 2.3202
O -9.1706 -0.2388 0.7145
O -6.2560 2.3761 -5.0514
O -5.7074 -3.6290 -6.6571
O -11.1991 3.9340 -3.4585
O -6.6856 -0.4083 0.0646
O -3.3823 8.0116 -1.1991
O -1.8597 1.7170 0.1602
O -8.8523 1.2436 -5.9656
O -7.3297 -5.0509 -4.6063
O -4.0264 3.3689 -5.8700
```

***

4.
Computed, not measured: NaAlSiO4 after structural relaxation at the PBE level of DFT.

Output
The calculation puts the offset from the most stable computed form at 0.195 eV per atom. As for the energy relative to the elements: -2.955 eV/atom. As for the mass density: 3.8 g/cm³. Its final energy is -0.253 Ha/atom.

extended XYZ file:
```
28
Lattice="-1.8830 -1.1650 -1.6583 -6.2760 4.9059 3.6797 1.6206 7.3007 -6.9693" Properties=species:S:1:pos:R:3 pbc="T T T"
Na -4.8446 4.5174 1.1736
Na -1.4220 3.3464 -1.8901
Na -1.6517 6.5649 -6.1979
Na -5.1022 7.6103 -3.0144
Al -5.8337 10.1964 -4.0005
Al -3.1453 5.7182 -3.9071
Al -6.5536 6.5502 -0.6215
Al -3.8934 1.9445 -0.4063
Si -0.6221 0.7798 -0.9952
Si -3.3102 5.2594 -1.0900
Si -0.0403 4.5119 -4.2778
Si -2.6918 9.1565 -4.5301
O -4.0452 9.7945 -3.4415
O -1.2349 5.8656 -3.8725
O -2.3797 1.1057 -1.5359
O -5.1701 5.1243 -1.1906
O 0.5988 6.8924 -6.6759
O -3.1423 6.6286 -2.2426
O -7.0818 4.2460 1.5972
O -3.3937 4.2710 -2.6082
O -5.2655 7.9139 -0.7347
O -1.3828 8.8158 -5.7771
O -1.3910 3.2957 -4.1971
O -5.3024 2.2648 0.9685
O -0.4693 4.4639 -6.0644
O -3.4746 7.5148 -4.7954
O -6.1646 6.5670 1.2325
O -3.1271 3.6615 -0.1754
```

***

5.
Computed, not measured: NaAlSiO5 after structural relaxation at the PBE level of DFT.

Output
As for the energy relative to the elements: -2.380 eV/atom. As for the mass density: 2.3 g/cm³. Its final energy is -0.234 Ha/atom.

extended XYZ file:
```
8
Lattice="0.0000 3.8718 3.8718 3.8718 0.0000 3.8718 3.8718 3.8718 0.0000" Properties=species:S:1:pos:R:3 pbc="T T T"
Na 3.8718 3.8718 3.8718
Al 1.9359 1.9359 1.9359
Si 0.0000 0.0000 0.0000
O 0.9378 0.9378 0.9378
O 2.9340 2.9340 0.9378
O 2.9340 0.9378 2.9340
O 0.9378 2.9340 2.9340
O 5.8077 5.8077 5.8077
```

***

6.
Computed, not measured: NaAlSi2O6 after structural relaxation at the PBE level of DFT.

Output
The calculation puts the offset from the most stable computed form at 0.017 eV per atom. As for the energy relative to the elements: -3.160 eV/atom. As for the mass density: 3.2 g/cm³. Its final energy is -0.269 Ha/atom.

extended XYZ file:
```
20
Lattice="1.8515 -3.1639 -5.3110 2.5783 5.1383 -2.9318 5.1949 -0.6714 0.7560" Properties=species:S:1:pos:R:3 pbc="T T T"
Na 3.3683 -0.8415 -4.4084
Na 6.2565 2.1445 -3.0784
Al 3.8080 4.1816 -2.9689
Al 5.8168 -2.8786 -4.5179
Si 4.3854 2.0251 -5.4614
Si 2.7775 1.1624 -1.9596
Si 5.2393 -0.7221 -2.0254
Si 6.8473 0.1406 -5.5272
O 5.4906 0.8910 -4.9692
O 6.7232 -0.0199 -2.1672
O 4.1342 0.4120 -2.5176
O 2.9016 1.3229 -5.3196
O 6.7469 -1.4498 -5.2897
O 5.0937 -1.9417 -3.0682
O 2.8778 2.7528 -2.1971
O 4.5311 3.2447 -4.4186
O 4.6624 2.3041 -7.0709
O 2.4751 0.5934 -0.4332
O 4.9624 -1.0012 -0.4159
O 7.1496 0.7096 -7.0536
```

***

7.
Computed, not measured: Na2Al2Si3O10 after structural relaxation at the PBE level of DFT.

Output
The calculation puts the offset from the most stable computed form at 0.000 eV per atom. As for the energy relative to the elements: -3.130 eV/atom. As for the mass density: 2.5 g/cm³. The value obtained for the piezoelectric modulus e_max is 4.1 C/m2. Its final energy is -0.264 Ha/atom.

extended XYZ file:
```
34
Lattice="3.2489 8.1786 0.0000 -3.2489 8.1786 0.0000 0.0000 8.0636 8.5116" Properties=species:S:1:pos:R:3 pbc="T T T"
Na 0.9449 9.1288 5.4239
Na 0.9449 15.2921 3.0877
Na -0.6636 21.0497 7.2792
Na -0.6636 3.3711 1.2324
Al 0.7484 16.6692 6.6970
Al 0.7484 7.7516 1.8145
Al -0.8304 12.4644 6.1014
Al -0.8304 11.9564 2.4102
Si 3.2213 8.1786 0.0000
Si 1.6479 12.2104 4.2558
Si 0.8212 18.5372 4.5117
Si 0.8212 5.8836 3.9998
Si -0.8439 9.9750 0.3408
Si -0.8439 14.4458 8.1708
O 2.3964 16.9210 7.2822
O 2.3964 7.4998 1.2294
O 0.7875 11.9358 5.6133
O 0.7875 12.4850 2.8983
O 0.6944 16.9522 4.9330
O 0.6944 7.4686 3.5786
O -0.9273 11.5867 0.6697
O -0.9273 12.8341 7.8419
O -0.5807 17.7029 7.2806
O -0.5807 6.7179 1.2310
O -1.3237 10.5482 3.3469
O -1.3237 13.8726 5.1647
O 0.3506 9.3777 1.2734
O 0.3506 15.0431 7.2382
O -2.0598 11.2498 5.8261
O -2.0598 13.1710 2.6855
O -2.3554 9.3670 0.6990
O -2.3554 15.0538 7.8126
O 2.5642 10.8626 3.9627
O 2.5642 13.5582 4.5489
```

***

8.
Computed, not measured: Na8Al6Si6O25 after structural relaxation at the PBE level of DFT.

Output
The calculation puts the offset from the most stable computed form at 0.000 eV per atom. As for the energy relative to the elements: -3.026 eV/atom. As for the mass density: 2.1 g/cm³. Its final energy is -0.252 Ha/atom.

extended XYZ file:
```
45
Lattice="6.3174 -6.3508 0.0000 6.3174 6.3508 0.0000 -0.0669 0.0000 8.9575" Properties=species:S:1:pos:R:3 pbc="T T T"
Na 6.3074 -4.3692 1.3960
Na 10.9792 0.0000 7.8252
Na 6.3136 -2.5029 6.2562
Na 8.8168 0.0129 2.7441
Na 6.3007 2.4901 6.2744
Na 2.3928 0.0000 1.7054
Na 1.9138 -0.0013 7.5604
Na 6.3061 4.3705 1.3978
Al 1.5990 1.5699 4.4974
Al 7.9378 -1.5821 0.0160
Al 3.1429 -3.1875 6.7434
Al 3.1904 -3.1529 2.2646
Al 4.7686 1.5831 0.0503
Al 4.7334 4.7697 4.5119
Si 3.1591 3.1680 2.2570
Si 4.7508 -4.7673 4.5173
Si 7.9490 1.5858 0.0300
Si 4.7552 -1.5802 0.0174
Si 1.5705 -1.5878 4.4858
Si 3.1566 3.1814 6.7541
O 9.9251 -1.9131 3.1973
O 8.2133 -3.6518 5.8163
O 8.1990 -2.6824 1.3558
O 8.9759 -1.8909 7.6465
O 6.2628 -4.5069 3.9528
O 10.8119 0.0646 5.0706
O 4.5038 -3.7347 5.7690
O 10.0222 1.8524 3.2783
O 6.2151 -1.7773 8.4026
O 8.1953 0.0627 0.5898
O 4.5226 -2.6587 1.2280
O 8.9110 1.8263 7.7376
O 3.6690 -1.8238 7.7117
O 8.1659 2.6138 1.2826
O 4.4606 -0.0670 0.5760
O 6.3511 1.7994 8.4291
O 2.5813 -1.8023 3.2127
O 8.1384 3.6905 5.7042
O 1.7716 -0.0778 5.0879
O 6.3656 4.5062 3.9282
O 4.4444 2.7366 1.3378
O 3.6352 1.8931 7.6394
O 2.6487 1.8694 3.1181
O 4.4408 3.6720 5.8574
O 0.3901 0.0000 0.2780
```

***

9.
Computed, not measured: NaAlSiO4 after structural relaxation at the PBE level of DFT.

Output
The calculation puts the offset from the most stable computed form at 0.012 eV per atom. As for the energy relative to the elements: -3.138 eV/atom. As for the mass density: 2.3 g/cm³. The value obtained for the piezoelectric modulus e_max is 0.1 C/m2. Its final energy is -0.260 Ha/atom.

extended XYZ file:
```
28
Lattice="-1.0863 4.0355 6.1272 -7.3359 -0.6890 -0.8467 0.1085 -6.1845 4.0924" Properties=species:S:1:pos:R:3 pbc="T T T"
Na -2.1546 -3.7718 4.1624
Na -5.6204 -0.8302 1.9790
Na -2.4465 1.1127 5.3825
Na -6.4058 -2.1868 7.2220
Al -6.5005 1.0121 4.6163
Al -2.3635 -1.4221 7.5486
Al -5.4091 -4.4625 3.9266
Al -2.3542 -0.8037 2.6542
Si -4.8406 0.6310 7.5053
Si -3.9667 -4.2700 6.7964
Si -7.6361 -1.9744 4.2368
Si -0.1839 -0.0628 0.2073
O -3.3494 0.0082 7.2185
O -1.5587 -1.5268 4.0581
O -6.1639 -6.0563 4.0559
O -3.5900 -1.9534 2.1272
O -1.9114 -1.3396 9.2561
O -3.2134 0.6256 3.2422
O -4.1543 -4.3965 5.1708
O -6.9269 -0.5379 3.8799
O -8.0130 1.9037 4.8261
O -0.8700 -1.2299 6.6217
O -4.5757 -4.4243 2.3676
O -5.5553 1.8987 3.4133
O -1.2298 -0.4198 1.3865
O -6.5628 -3.1735 4.0873
O -3.1941 -2.8975 7.1589
O -5.6405 0.8147 6.1130
```

***

10.
Computed, not measured: Na8Al6Si6O25 after structural relaxation at the PBE level of DFT.

Output
The calculation puts the offset from the most stable computed form at 0.006 eV per atom. As for the energy relative to the elements: -3.020 eV/atom. As for the mass density: 2.1 g/cm³. Its final energy is -0.252 Ha/atom.

extended XYZ file:
```
45
Lattice="6.3667 -6.3832 0.0000 6.3667 6.3832 0.0000 -0.0331 0.0000 9.0155" Properties=species:S:1:pos:R:3 pbc="T T T"
Na 10.7539 -0.0052 1.2731
Na 1.8422 0.0000 1.3077
Na 6.3774 2.6261 2.6610
Na 6.3726 -2.6309 2.6678
Na 3.7397 0.0048 6.3768
Na 9.4459 0.0000 6.7053
Na 6.2530 4.4945 7.6136
Na 6.2477 -4.4893 7.6210
Al 7.8923 1.6106 9.0075
Al 3.1756 3.1867 2.2345
Al 1.5641 -1.5794 4.5047
Al 11.1105 1.5993 4.4740
Al 9.4957 -3.2098 6.7487
Al 4.7591 -1.6074 0.0038
Si 7.9353 -1.6060 0.0042
Si 9.5190 3.1965 2.2359
Si 7.9202 -4.7912 4.4881
Si 4.7551 4.7780 4.4843
Si 3.1450 -3.1720 6.7525
Si 4.7154 1.5947 9.0028
O 6.4074 -1.8635 0.5490
O 6.2709 1.8616 0.5409
O 8.9474 -1.8606 1.2647
O 3.7188 1.8418 1.2451
O 8.9866 1.9279 1.3574
O 3.6546 -1.9059 1.3356
O 8.2748 3.7029 3.1787
O 4.4353 -3.6924 3.1267
O 4.5099 3.7560 3.2220
O 8.2227 -3.7548 3.2520
O 10.8604 -0.0673 3.9822
O 1.8080 0.0641 3.9369
O 6.2786 4.5225 5.0243
O 6.3974 -4.5103 5.0047
O 10.0971 -1.9042 5.7398
O 2.5689 1.8308 5.7559
O 10.0408 1.9604 5.8192
O 2.6416 -1.8926 5.8540
O 8.2552 2.6657 7.6522
O 4.4132 -2.6619 7.6522
O 8.1877 -2.5984 7.7472
O 4.4645 2.5824 7.7277
O 8.1317 -0.0562 8.5086
O 4.5102 0.0519 8.4819
O 12.5108 0.0000 8.8810
```

***

Question: Look up the final energy of the sixth one.
Answer: -0.269 Ha/atom